Entry 1:
HfNF5 | PBE | optimized geometry

Total magnetic moment ... 0.286 μB per atom
DFT total energy ... -6.2558 eV per atom
Calculated formation energy ... -2.605 eV/atom
Crystal system ... monoclinic
Symmetry ... P2_1/c, No. 14

Cell lengths 7.814, 8.355, 8.332 Å; angles 90.00, 116.86, 90.00 degrees
Fractional coordinates of all 28 atoms:
Hf (0.001, 0.250, 0.248)
Hf (0.001, 0.250, 0.748)
Hf (0.999, 0.750, 0.252)
Hf (0.999, 0.750, 0.752)
N (0.495, 0.524, 0.251)
N (0.495, 0.976, 0.751)
N (0.505, 0.024, 0.249)
N (0.505, 0.476, 0.749)
F (0.001, 0.248, 0.001)
F (0.001, 0.252, 0.501)
F (0.002, 0.507, 0.253)
F (0.002, 0.993, 0.753)
F (0.271, 0.722, 0.854)
F (0.271, 0.778, 0.354)
F (0.275, 0.225, 0.878)
F (0.275, 0.275, 0.378)
F (0.311, 0.001, 0.632)
F (0.311, 0.499, 0.132)
F (0.689, 0.501, 0.868)
F (0.689, 0.999, 0.368)
F (0.725, 0.725, 0.622)
F (0.725, 0.775, 0.122)
F (0.729, 0.222, 0.646)
F (0.729, 0.278, 0.146)
F (0.998, 0.007, 0.247)
F (0.998, 0.493, 0.747)
F (0.999, 0.748, 0.499)
F (0.999, 0.752, 0.999)

Entry 2:
CsLiO | PBE | optimized geometry

Total magnetic moment ... 0.000 μB per atom
DFT total energy ... -3.8902 eV per atom
Calculated formation energy ... -1.535 eV/atom
Crystal system ... tetragonal
Symmetry ... I4/mmm, No. 139

Cell lengths 7.657, 7.657, 7.657 Å; angles 99.41, 99.41, 132.30 degrees
Fractional coordinates of all 12 atoms:
Cs (0.000, 0.309, 0.309)
Cs (0.000, 0.691, 0.691)
Cs (0.309, 0.000, 0.309)
Cs (0.691, 0.000, 0.691)
Li (0.365, 0.365, 0.730)
Li (0.365, 0.635, 0.000)
Li (0.635, 0.365, 0.000)
Li (0.635, 0.635, 0.270)
O (0.242, 0.500, 0.742)
O (0.500, 0.242, 0.742)
O (0.500, 0.758, 0.258)
O (0.758, 0.500, 0.258)

Entry 3:
Sc6FeTe2 | PBE | optimized geometry

DFT total energy ... -6.4846 eV per atom
Calculated formation energy ... -0.717 eV/atom
Crystal system ... hexagonal
Symmetry ... P-62m, No. 189

Cell lengths 7.721, 7.721, 3.806 Å; angles 90.00, 90.00, 120.00 degrees
Fractional coordinates of all 9 atoms:
Sc (0.000, 0.233, 0.000)
Sc (0.000, 0.617, 0.500)
Sc (0.233, 0.000, 0.000)
Sc (0.383, 0.383, 0.500)
Sc (0.617, 0.000, 0.500)
Sc (0.767, 0.767, 0.000)
Fe (0.000, 0.000, 0.500)
Te (0.333, 0.667, 0.000)
Te (0.667, 0.333, 0.000)

Entry 4:
ScNi | PBE | optimized geometry

DFT total energy ... -6.5635 eV per atom
Calculated formation energy ... -0.507 eV/atom
Crystal system ... cubic
Symmetry ... Pm-3m, No. 221

Cell lengths 3.167, 3.167, 3.167 Å; angles 90.00, 90.00, 90.00 degrees
Fractional coordinates of all 2 atoms:
Sc (0.000, 0.000, 0.000)
Ni (0.500, 0.500, 0.500)

Entry 5:
LaMg | PBE | optimized geometry

DFT total energy ... -3.3612 eV per atom
E above lowest polymorph ... 17 meV/atom
Calculated formation energy ... -0.093 eV/atom
Crystal system ... orthorhombic
Symmetry ... Pmma, No. 51

Cell lengths 5.615, 3.825, 5.805 Å; angles 90.00, 90.00, 90.00 degrees
Fractional coordinates of all 4 atoms:
La (0.250, 0.000, 0.199)
La (0.750, 0.000, 0.801)
Mg (0.250, 0.500, 0.686)
Mg (0.750, 0.500, 0.314)

Entry 6:
SrCaNi8Sn4 | PBE | optimized geometry

Total magnetic moment ... 0.000 μB per atom
DFT total energy ... -5.0424 eV per atom
Calculated formation energy ... -0.330 eV/atom
Crystal system ... tetragonal
Symmetry ... I422, No. 97

Cell lengths 6.765, 6.765, 6.765 Å; angles 109.59, 109.59, 109.24 degrees
Fractional coordinates of all 14 atoms:
Sr (0.000, 0.000, 0.000)
Ca (0.500, 0.500, 0.000)
Ni (0.052, 0.549, 0.775)
Ni (0.226, 0.451, 0.503)
Ni (0.277, 0.052, 0.503)
Ni (0.451, 0.948, 0.225)
Ni (0.549, 0.774, 0.497)
Ni (0.723, 0.226, 0.775)
Ni (0.774, 0.277, 0.225)
Ni (0.948, 0.723, 0.497)
Sn (0.091, 0.591, 0.181)
Sn (0.409, 0.909, 0.819)
Sn (0.591, 0.409, 0.500)
Sn (0.909, 0.091, 0.500)

Entry 7:
Na3Zr2Si2PO12 | PBE | optimized geometry

Total magnetic moment ... 0.000 μB per atom
DFT total energy ... -7.5620 eV per atom
E above lowest polymorph ... 10 meV/atom
Calculated formation energy ... -3.139 eV/atom
Crystal system ... triclinic
Symmetry ... P1, No. 1

Cell lengths 9.153, 9.160, 16.332 Å; angles 73.79, 89.08, 60.11 degrees
Fractional coordinates of all 80 atoms:
Na (0.000, 0.000, 0.000)
Na (0.018, 0.666, 0.802)
Na (0.058, 0.371, 0.388)
Na (0.270, 0.921, 0.550)
Na (0.312, 0.581, 0.139)
Na (0.355, 0.291, 0.730)
Na (0.518, 0.666, 0.301)
Na (0.553, 0.375, 0.886)
Na (0.606, 0.030, 0.478)
Na (0.725, 0.903, 0.073)
Na (0.809, 0.584, 0.638)
Na (0.855, 0.294, 0.229)
Zr (0.003, 0.835, 0.236)
Zr (0.112, 0.630, 0.545)
Zr (0.266, 0.329, 0.984)
Zr (0.356, 0.127, 0.294)
Zr (0.503, 0.835, 0.737)
Zr (0.608, 0.628, 0.043)
Zr (0.768, 0.331, 0.485)
Zr (0.859, 0.127, 0.795)
Si (0.025, 0.509, 0.145)
Si (0.060, 0.024, 0.389)
Si (0.097, 0.228, 0.634)
Si (0.271, 0.732, 0.899)
Si (0.526, 0.505, 0.647)
Si (0.564, 0.023, 0.890)
Si (0.597, 0.227, 0.133)
Si (0.772, 0.732, 0.397)
P (0.308, 0.937, 0.138)
P (0.347, 0.452, 0.384)
P (0.811, 0.935, 0.640)
P (0.849, 0.449, 0.884)
O (0.009, 0.694, 0.150)
O (0.011, 0.241, 0.542)
O (0.023, 0.985, 0.302)
O (0.024, 0.421, 0.909)
O (0.081, 0.909, 0.873)
O (0.101, 0.859, 0.477)
O (0.110, 0.349, 0.238)
O (0.115, 0.401, 0.625)
O (0.147, 0.452, 0.072)
O (0.153, 0.910, 0.140)
O (0.225, 0.050, 0.389)
O (0.230, 0.501, 0.453)
O (0.253, 0.559, 0.904)
O (0.267, 0.604, 0.297)
O (0.274, 0.090, 0.058)
O (0.285, 0.047, 0.659)
O (0.336, 0.541, 0.621)
O (0.343, 0.970, 0.222)
O (0.363, 0.706, 0.991)
O (0.365, 0.278, 0.376)
O (0.394, 0.734, 0.824)
O (0.395, 0.212, 0.889)
O (0.470, 0.758, 0.139)
O (0.477, 0.220, 0.208)
O (0.511, 0.239, 0.042)
O (0.512, 0.687, 0.655)
O (0.525, 0.417, 0.410)
O (0.531, 0.984, 0.802)
O (0.585, 0.914, 0.369)
O (0.596, 0.857, 0.974)
O (0.611, 0.343, 0.739)
O (0.617, 0.398, 0.127)
O (0.647, 0.451, 0.573)
O (0.656, 0.909, 0.642)
O (0.731, 0.046, 0.894)
O (0.733, 0.497, 0.955)
O (0.752, 0.561, 0.404)
O (0.766, 0.600, 0.797)
O (0.773, 0.088, 0.557)
O (0.787, 0.045, 0.156)
O (0.832, 0.548, 0.120)
O (0.846, 0.972, 0.722)
O (0.860, 0.717, 0.489)
O (0.866, 0.274, 0.879)
O (0.891, 0.211, 0.390)
O (0.897, 0.730, 0.323)
O (0.972, 0.757, 0.641)
O (0.974, 0.225, 0.708)

Entry 8:
LaNiAs | PBE | optimized geometry

DFT total energy ... -6.1967 eV per atom
Calculated formation energy ... -1.072 eV/atom
Crystal system ... hexagonal
Symmetry ... P6_3/mmc, No. 194

Cell lengths 4.198, 4.198, 16.418 Å; angles 90.00, 90.00, 120.00 degrees
Fractional coordinates of all 12 atoms:
La (0.000, 0.000, 0.000)
La (0.000, 0.000, 0.250)
La (0.000, 0.000, 0.500)
La (0.000, 0.000, 0.750)
Ni (0.333, 0.667, 0.128)
Ni (0.333, 0.667, 0.372)
Ni (0.667, 0.333, 0.628)
Ni (0.667, 0.333, 0.872)
As (0.333, 0.667, 0.624)
As (0.333, 0.667, 0.876)
As (0.667, 0.333, 0.124)
As (0.667, 0.333, 0.376)

> Number 6 is which compound?

SrCaNi8Sn4